1.
Material: Hf3ScSi4
Method: DFT, GGA-PBE
State: relaxed Values from VASP.

Space-group type: Pm
Corrected total energy (MP2020 scheme), eV for the cell shown: -64.1
ΔE_f, eV/atom: -0.78

Cell and atoms, written as Quantum ESPRESSO input:
```
&SYSTEM
  ibrav = 0, nat = 8, ntyp = 3
/
ATOMIC_SPECIES
Si 28.09 Si.upf
Hf 178.49 Hf.upf
Sc 44.96 Sc.upf
CELL_PARAMETERS angstrom
-1.128 -1.624 3.165
1.555 -4.684 -1.849
6.407 0.989 2.791
ATOMIC_POSITIONS crystal
Si 0.000 0.360 0.958
Si 0.500 0.859 0.541
Si 0.500 0.640 0.042
Si 0.000 0.140 0.458
Hf 0.500 0.374 0.681
Hf 0.500 0.124 0.176
Hf 0.000 0.878 0.821
Sc 0.000 0.625 0.323
```


2.
Material: Te
Method: DFT, GGA-PBE
State: relaxed Values from VASP.

Maximum piezoelectric response, C/m2: 1.76
Space-group type: P3_221
ΔE_f, eV/atom: 0.00
Polymorph energy (0 for the lowest one), meV/atom: 0

Cell and atoms, written as Quantum ESPRESSO input:
```
&SYSTEM
  ibrav = 0, nat = 3, ntyp = 1
/
ATOMIC_SPECIES
Te 127.60 Te.upf
CELL_PARAMETERS angstrom
-2.621 3.434 1.286
-1.655 -4.191 -0.080
1.733 -0.793 5.649
ATOMIC_POSITIONS crystal
Te 0.000 0.269 0.333
Te 0.269 0.000 0.667
Te 0.731 0.731 0.000
```


3.
Material: SrSm2BeO5
Method: DFT, GGA-PBE
State: relaxed Values from VASP.

Space-group type: Pna2_1
Corrected total energy (MP2020 scheme), eV for the cell shown: -284.3
ΔE_f, eV/atom: -3.50

Cell and atoms, written as Quantum ESPRESSO input:
```
&SYSTEM
  ibrav = 0, nat = 36, ntyp = 4
/
ATOMIC_SPECIES
O 16.00 O.upf
Be 9.01 Be.upf
Sr 87.62 Sr.upf
Sm 150.36 Sm.upf
CELL_PARAMETERS angstrom
-5.605 1.345 3.127
-0.670 -6.945 1.787
4.880 1.602 8.057
ATOMIC_POSITIONS crystal
O 0.305 0.443 0.067
O 0.316 0.057 0.071
O 0.366 0.250 0.775
O 0.805 0.943 0.433
O 0.816 0.557 0.429
O 0.162 0.747 0.279
O 0.838 0.247 0.721
O 0.479 0.750 0.490
O 0.634 0.750 0.225
O 0.684 0.557 0.929
O 0.662 0.247 0.221
O 0.866 0.750 0.725
O 0.195 0.443 0.567
O 0.338 0.747 0.779
O 0.021 0.750 0.990
O 0.184 0.057 0.571
O 0.979 0.250 0.010
O 0.134 0.250 0.275
O 0.521 0.250 0.510
O 0.695 0.943 0.933
Be 0.693 0.749 0.399
Be 0.807 0.749 0.899
Be 0.193 0.249 0.101
Be 0.307 0.249 0.601
Sr 0.917 0.981 0.175
Sr 0.083 0.481 0.825
Sr 0.417 0.481 0.325
Sr 0.583 0.981 0.675
Sm 0.927 0.526 0.173
Sm 0.427 0.026 0.327
Sm 0.405 0.746 0.022
Sm 0.095 0.746 0.522
Sm 0.905 0.246 0.478
Sm 0.595 0.246 0.978
Sm 0.573 0.526 0.673
Sm 0.073 0.026 0.827
```